{
  "formula": "Na4Ta2Ti2Si5SO24",
  "functional": "PBE",
  "state": "optimized geometry",
  "ef_ev_per_atom": -3.001,
  "corrected_energy_ev_per_atom": -8.1276,
  "density_g_cm3": 3.6,
  "cell": [[8.892, 0.011, 0.007], [-4.437, 7.709, -0.008], [0.018, -0.013, 22.545]],
  "species": ["Na", "Na", "Na", "Na", "Na", "Na", "Na", "Na", "Na", "Na", "Na", "Na", "Si", "Si", "Si", "Si", "Si", "Si", "Si", "Si", "Si", "Si", "Si", "Si", "Si", "Si", "Si", "O", "O", "O", "O", "O", "O", "O", "O", "O", "O", "O", "O", "O", "O", "O", "O", "O", "O", "O", "O", "O", "O", "O", "O", "O", "O", "O", "O", "O", "O", "O", "O", "O", "O", "O", "O", "O", "O", "O", "O", "O", "O", "O", "O", "O", "O", "O", "O", "O", "O", "O", "O", "O", "O", "O", "O", "O", "O", "O", "O", "O", "O", "O", "O", "O", "O", "O", "O", "O", "O", "O", "O", "Ti", "Ti", "Ti", "Ti", "Ti", "Ti", "Ta", "Ta", "Ta", "Ta", "Ta", "Ta", "S", "S", "S"],
  "frac_coords": [[0.330, 0.675, 0.664], [0.301, 0.338, 0.581], [0.665, 0.968, 0.581], [0.638, 0.000, 0.250], [0.331, 0.672, 0.165], [0.030, 0.331, 0.084], [0.991, 0.997, 0.001], [0.964, 0.667, 0.915], [0.998, 0.363, 0.750], [0.654, 0.329, 0.835], [0.662, 0.338, 0.334], [0.999, 0.998, 0.493], [0.000, 0.715, 0.753], [0.625, 0.665, 0.919], [0.008, 0.287, 0.248], [0.328, 0.372, 0.417], [0.963, 0.632, 0.083], [0.720, 0.712, 0.252], [0.280, 0.000, 0.251], [0.707, 0.997, 0.750], [0.287, 0.280, 0.752], [0.049, 0.373, 0.919], [0.375, 0.038, 0.583], [0.671, 0.623, 0.582], [0.627, 0.953, 0.417], [0.665, 0.039, 0.082], [0.960, 0.342, 0.583], [0.526, 0.698, 0.258], [0.857, 0.361, 0.924], [0.169, 0.687, 0.758], [0.526, 0.835, 0.476], [0.978, 0.820, 0.090], [0.489, 0.128, 0.923], [0.362, 0.852, 0.576], [0.127, 0.639, 0.363], [0.687, 0.517, 0.241], [0.834, 0.520, 0.743], [0.836, 0.818, 0.589], [0.166, 0.474, 0.976], [0.192, 0.031, 0.309], [0.700, 0.530, 0.525], [0.204, 0.181, 0.088], [0.525, 0.695, 0.974], [0.466, 0.170, 0.527], [0.632, 0.497, 0.640], [0.693, 0.174, 0.027], [0.176, 0.968, 0.912], [0.697, 0.175, 0.743], [0.500, 0.642, 0.861], [0.160, 0.182, 0.411], [0.846, 0.036, 0.088], [0.859, 0.496, 0.138], [0.154, 0.505, 0.576], [0.820, 0.833, 0.911], [0.169, 0.483, 0.258], [0.836, 0.037, 0.806], [0.132, 0.501, 0.860], [0.635, 0.132, 0.141], [0.030, 0.835, 0.694], [0.481, 0.308, 0.744], [0.516, 0.829, 0.758], [0.827, 0.298, 0.527], [0.642, 0.491, 0.925], [0.167, 0.203, 0.692], [0.798, 0.837, 0.193], [0.301, 0.472, 0.758], [0.028, 0.183, 0.911], [0.503, 0.135, 0.640], [0.841, 0.537, 0.024], [0.190, 0.161, 0.809], [0.828, 0.302, 0.242], [0.487, 0.360, 0.136], [0.027, 0.821, 0.412], [0.796, 0.969, 0.690], [0.645, 0.147, 0.424], [0.872, 0.507, 0.423], [0.478, 0.167, 0.241], [0.971, 0.802, 0.812], [0.312, 0.834, 0.258], [0.190, 0.033, 0.590], [0.497, 0.642, 0.577], [0.032, 0.202, 0.188], [0.960, 0.162, 0.306], [0.868, 0.363, 0.643], [0.464, 0.310, 0.029], [0.360, 0.491, 0.078], [0.306, 0.468, 0.476], [0.146, 0.634, 0.076], [0.509, 0.363, 0.423], [0.836, 0.804, 0.310], [0.816, 0.970, 0.411], [0.502, 0.866, 0.358], [0.975, 0.164, 0.590], [0.362, 0.873, 0.863], [0.491, 0.849, 0.074], [0.305, 0.843, 0.970], [0.357, 0.501, 0.361], [0.160, 0.969, 0.192], [0.153, 0.689, 0.471], [0.000, 0.012, 0.351], [0.342, 0.663, 0.519], [0.692, 0.346, 0.981], [0.344, 0.670, 0.020], [0.988, 0.983, 0.149], [0.988, 0.006, 0.852], [0.659, 0.326, 0.478], [0.665, 0.335, 0.688], [0.000, 0.995, 0.646], [0.673, 0.332, 0.189], [0.336, 0.659, 0.812], [0.340, 0.666, 0.311], [0.338, 0.958, 0.918], [0.047, 0.668, 0.418], [0.381, 0.333, 0.082]]
}